The following is a DFT calculation (PBE) of a geometry-optimized Na12DyY3H48C12O60 structure.

Unit cell a=11.750 b=11.729 c=13.133 alpha=63.47 beta=63.43 gamma=90.00
Fractional coordinates of all 136 atoms:
Na (0.009, 0.901, 0.362)
Na (0.009, 0.402, 0.362)
Na (0.629, 0.578, 0.009)
Na (0.629, 0.078, 0.009)
Na (0.362, 0.768, 0.629)
Na (0.362, 0.269, 0.629)
Na (0.991, 0.514, 0.638)
Na (0.991, 0.014, 0.638)
Na (0.371, 0.837, 0.991)
Na (0.371, 0.337, 0.991)
Na (0.638, 0.647, 0.371)
Na (0.638, 0.147, 0.371)
Dy (0.667, 0.620, 0.667)
Y (0.333, 0.537, 0.333)
Y (0.333, 0.037, 0.333)
Y (0.667, 0.120, 0.667)
H (0.138, 0.965, 0.096)
H (0.138, 0.465, 0.097)
H (0.765, 0.944, 0.138)
H (0.766, 0.444, 0.138)
H (0.097, 0.631, 0.766)
H (0.097, 0.131, 0.765)
H (0.862, 0.312, 0.904)
H (0.862, 0.811, 0.904)
H (0.235, 0.333, 0.862)
H (0.234, 0.832, 0.862)
H (0.903, 0.646, 0.235)
H (0.904, 0.146, 0.234)
H (0.999, 0.401, 0.132)
H (0.999, 0.901, 0.132)
H (0.870, 0.468, 0.998)
H (0.870, 0.968, 0.998)
H (0.132, 0.032, 0.870)
H (0.132, 0.532, 0.870)
H (0.001, 0.283, 0.868)
H (0.001, 0.783, 0.868)
H (0.131, 0.217, 0.001)
H (0.130, 0.716, 0.001)
H (0.868, 0.652, 0.131)
H (0.868, 0.152, 0.130)
H (0.715, 0.422, 0.502)
H (0.715, 0.921, 0.503)
H (0.783, 0.315, 0.715)
H (0.783, 0.815, 0.715)
H (0.502, 0.281, 0.783)
H (0.503, 0.781, 0.783)
H (0.285, 0.174, 0.498)
H (0.285, 0.674, 0.498)
H (0.217, 0.280, 0.285)
H (0.217, 0.780, 0.285)
H (0.498, 0.315, 0.217)
H (0.498, 0.815, 0.217)
H (0.676, 0.354, 0.433)
H (0.675, 0.854, 0.434)
H (0.891, 0.233, 0.676)
H (0.891, 0.733, 0.675)
H (0.433, 0.125, 0.891)
H (0.434, 0.626, 0.891)
H (0.324, 0.038, 0.567)
H (0.324, 0.538, 0.567)
H (0.109, 0.159, 0.324)
H (0.109, 0.659, 0.324)
H (0.567, 0.267, 0.109)
H (0.567, 0.767, 0.109)
C (0.320, 0.023, 0.124)
C (0.320, 0.523, 0.124)
C (0.556, 0.925, 0.320)
C (0.556, 0.425, 0.320)
C (0.124, 0.807, 0.556)
C (0.124, 0.307, 0.556)
C (0.680, 0.398, 0.875)
C (0.680, 0.897, 0.876)
C (0.445, 0.495, 0.680)
C (0.444, 0.995, 0.680)
C (0.875, 0.613, 0.445)
C (0.876, 0.113, 0.444)
O (0.401, 0.121, 0.097)
O (0.401, 0.621, 0.097)
O (0.502, 0.968, 0.401)
O (0.502, 0.468, 0.401)
O (0.097, 0.918, 0.502)
O (0.097, 0.418, 0.502)
O (0.599, 0.468, 0.903)
O (0.599, 0.967, 0.903)
O (0.499, 0.620, 0.599)
O (0.498, 0.120, 0.599)
O (0.902, 0.670, 0.499)
O (0.903, 0.170, 0.498)
O (0.692, 0.336, 0.508)
O (0.691, 0.836, 0.508)
O (0.801, 0.244, 0.692)
O (0.801, 0.745, 0.691)
O (0.508, 0.190, 0.801)
O (0.509, 0.690, 0.801)
O (0.308, 0.094, 0.492)
O (0.308, 0.594, 0.492)
O (0.199, 0.186, 0.308)
O (0.199, 0.686, 0.308)
O (0.492, 0.241, 0.199)
O (0.492, 0.741, 0.199)
O (0.043, 0.960, 0.144)
O (0.043, 0.460, 0.144)
O (0.813, 0.011, 0.043)
O (0.813, 0.511, 0.043)
O (0.144, 0.626, 0.813)
O (0.144, 0.126, 0.813)
O (0.957, 0.354, 0.856)
O (0.957, 0.854, 0.856)
O (0.187, 0.304, 0.957)
O (0.187, 0.804, 0.957)
O (0.856, 0.689, 0.187)
O (0.856, 0.189, 0.187)
O (0.243, 0.938, 0.249)
O (0.242, 0.438, 0.249)
O (0.508, 0.941, 0.242)
O (0.508, 0.441, 0.243)
O (0.249, 0.808, 0.508)
O (0.249, 0.308, 0.508)
O (0.757, 0.437, 0.750)
O (0.757, 0.936, 0.751)
O (0.492, 0.434, 0.757)
O (0.492, 0.933, 0.757)
O (0.750, 0.566, 0.492)
O (0.751, 0.066, 0.492)
O (0.313, 0.010, 0.035)
O (0.313, 0.510, 0.035)
O (0.652, 0.871, 0.313)
O (0.652, 0.371, 0.313)
O (0.035, 0.701, 0.652)
O (0.035, 0.201, 0.652)
O (0.687, 0.295, 0.965)
O (0.687, 0.794, 0.966)
O (0.348, 0.434, 0.687)
O (0.348, 0.934, 0.687)
O (0.965, 0.603, 0.348)
O (0.965, 0.103, 0.348)

Formation enthalpy at 0 K ... -1.78 eV per atom
Space group ... P1, No. 1
Magnetization ... 0.000 Bohr magnetons per cell
Crystal system ... triclinic
Volume ... 10.31 Å³/atom

The following is a DFT calculation (PBE) of a geometry-optimized Dy12C6I17 structure.

Unit cell a=11.609 b=11.609 c=18.714 alpha=89.26 beta=89.26 gamma=63.75
Fractional coordinates of all 70 atoms:
Dy (0.699, 0.297, 0.477)
Dy (0.532, 0.548, 0.125)
Dy (0.984, 0.921, 0.848)
Dy (0.419, 0.891, 0.618)
Dy (0.338, 0.805, 0.788)
Dy (0.452, 0.468, 0.375)
Dy (0.079, 0.016, 0.652)
Dy (0.016, 0.079, 0.152)
Dy (0.468, 0.452, 0.875)
Dy (0.662, 0.195, 0.212)
Dy (0.109, 0.581, 0.882)
Dy (0.805, 0.338, 0.288)
Dy (0.358, 0.363, 0.050)
Dy (0.297, 0.699, 0.977)
Dy (0.195, 0.662, 0.712)
Dy (0.703, 0.301, 0.023)
Dy (0.581, 0.109, 0.382)
Dy (0.548, 0.532, 0.625)
Dy (0.301, 0.703, 0.523)
Dy (0.637, 0.642, 0.450)
Dy (0.642, 0.637, 0.950)
Dy (0.891, 0.419, 0.118)
Dy (0.363, 0.358, 0.550)
Dy (0.921, 0.984, 0.348)
C (0.467, 0.465, 0.512)
C (0.830, 0.253, 0.154)
C (0.535, 0.533, 0.988)
C (0.287, 0.631, 0.850)
C (0.747, 0.170, 0.346)
C (0.533, 0.535, 0.488)
C (0.253, 0.830, 0.654)
C (0.465, 0.467, 0.012)
C (0.369, 0.713, 0.650)
C (0.713, 0.369, 0.150)
C (0.631, 0.287, 0.350)
C (0.170, 0.747, 0.846)
I (0.573, 0.628, 0.292)
I (0.807, 0.286, 0.636)
I (0.503, 0.036, 0.249)
I (0.905, 0.891, 0.698)
I (0.707, 0.690, 0.600)
I (0.606, 0.098, 0.547)
I (0.497, 0.964, 0.751)
I (0.400, 0.892, 0.938)
I (0.000, 0.000, 0.500)
I (0.714, 0.193, 0.864)
I (0.293, 0.310, 0.400)
I (0.310, 0.293, 0.900)
I (0.902, 0.394, 0.953)
I (0.394, 0.902, 0.453)
I (0.892, 0.400, 0.438)
I (0.964, 0.497, 0.251)
I (0.600, 0.108, 0.062)
I (0.372, 0.427, 0.208)
I (0.891, 0.905, 0.198)
I (0.690, 0.707, 0.100)
I (0.823, 0.785, 0.898)
I (0.036, 0.503, 0.749)
I (0.098, 0.606, 0.047)
I (0.177, 0.215, 0.102)
I (0.628, 0.573, 0.792)
I (0.427, 0.372, 0.708)
I (0.785, 0.823, 0.398)
I (0.000, 0.000, 0.000)
I (0.193, 0.714, 0.364)
I (0.215, 0.177, 0.602)
I (0.108, 0.600, 0.562)
I (0.109, 0.095, 0.802)
I (0.095, 0.109, 0.302)
I (0.286, 0.807, 0.136)

Formation enthalpy at 0 K ... -1.31 eV per atom
Space group ... C2/c, No. 15
Magnetization ... 1.788 Bohr magnetons per cell
Crystal system ... monoclinic
Volume ... 32.31 Å³/atom

The following is a DFT calculation (PBE) of a geometry-optimized Dy3InC structure.

Unit cell a=4.923 b=4.923 c=4.923 alpha=90.00 beta=90.00 gamma=90.00
Fractional coordinates of all 5 atoms:
Dy (0.500, 0.000, 0.500)
Dy (0.500, 0.500, 0.000)
Dy (0.000, 0.500, 0.500)
In (0.000, 0.000, 0.000)
C (0.500, 0.500, 0.500)

Formation enthalpy at 0 K ... -0.49 eV per atom
Space group ... Pm-3m, No. 221
Crystal system ... cubic
Volume ... 23.87 Å³/atom